# 1
Below is a relaxed structure of BaZrO3, with properties calculated at the r²SCAN level.

Geometry as POSCAR:
```
BaZrO3
1.0
4.212 0.000 0.000
0.000 4.212 0.000
0.000 0.000 4.212
Ba Zr O
1 1 3
Direct
0.000 0.000 0.000
0.500 0.500 0.500
0.000 0.500 0.500
0.500 0.000 0.500
0.500 0.500 0.000
```

Values from the calculation:
Space group: No. 221


# 2
Below is a relaxed structure of Fe5B2P, with properties calculated at the r²SCAN level.

Geometry as POSCAR:
```
Fe5B2P
1.0
-2.744 2.744 5.135
2.744 -2.744 5.135
2.744 2.744 -5.135
Fe B P
10 4 2
Direct
0.000 0.000 0.000
0.031 0.531 0.840
0.191 0.031 0.500
0.309 0.809 0.840
0.469 0.309 0.500
0.500 0.500 0.000
0.531 0.691 0.500
0.691 0.191 0.160
0.809 0.969 0.500
0.969 0.469 0.160
0.116 0.384 0.500
0.384 0.884 0.267
0.616 0.116 0.733
0.884 0.616 0.500
0.250 0.250 0.000
0.750 0.750 0.000
```

Values from the calculation:
Space group: No. 140


no.,electronic total energy (eV per cell),formation energy (meV/atom),size of the total moment (μB per formula unit)
1,-85.12,-3591,0.00
2,-196.18,-291,11.07